[1]
Computed, not measured: a relaxed MgCrFeBi2O6 crystal at the PBE with a Hubbard U level of DFT.

distance to the lowest polymorph of the same formula: 0 kJ/mol of formula units
E_form: -175 kJ per mole of atoms
total energy: -6.250 eV per atom

abc: 6.334 6.645 6.826
angles: 49.95 50.91 50.86
Atoms (fractional coordinates):
Mg1 0.410 0.353 0.357
Cr1 0.200 0.195 0.196
Fe1 0.822 0.721 0.730
Bi1 0.564 0.553 0.568
Bi2 0.052 0.012 0.996
O1 0.309 0.542 0.988
O2 0.967 0.419 0.599
O3 0.826 0.391 0.108
O4 0.176 0.810 0.370
O5 0.517 0.994 0.340
O6 0.471 0.087 0.740

---

[2]
Computed, not measured: a relaxed MgCrFeBi2O6 crystal at the PBE with a Hubbard U level of DFT.

distance to the lowest polymorph of the same formula: 52 kJ/mol of formula units
E_form: -170 kJ per mole of atoms
total energy: -6.200 eV per atom

abc: 6.425 6.531 6.514
angles: 52.04 51.56 51.24
Atoms (fractional coordinates):
Mg1 0.866 0.870 0.882
Cr1 0.236 0.226 0.238
Fe1 0.686 0.697 0.708
Bi1 0.520 0.517 0.524
Bi2 0.030 0.051 0.072
O1 0.301 0.669 0.914
O2 0.906 0.276 0.636
O3 0.881 0.465 0.110
O4 0.001 0.818 0.517
O5 0.619 0.908 0.309
O6 0.447 0.067 0.916

---

[3]
Computed, not measured: a relaxed LaMgCrBiO6 crystal at the PBE with a Hubbard U level of DFT.

E_form: -241 kJ per mole of atoms
total energy: -6.860 eV per atom

abc: 5.760 5.559 9.766
angles: 56.26 90.00 90.00
Atoms (fractional coordinates):
La1 0.306 0.765 0.248
La2 0.694 0.765 0.748
Mg1 0.800 0.230 0.251
Mg2 0.200 0.230 0.751
Cr1 0.244 0.001 0.500
Cr2 0.756 0.001 0.000
Bi1 0.245 0.500 0.998
Bi2 0.755 0.500 0.498
O1 0.834 0.345 0.766
O2 0.031 0.112 0.074
O3 0.056 0.787 0.431
O4 0.583 0.227 0.074
O5 0.554 0.917 0.430
O6 0.296 0.616 0.730
O7 0.166 0.345 0.266
O8 0.969 0.112 0.574
O9 0.944 0.787 0.931
O10 0.417 0.227 0.574
O11 0.446 0.917 0.930
O12 0.704 0.616 0.230

---

[4]
Computed, not measured: a relaxed LaZnCrBiO6 crystal at the PBE with a Hubbard U level of DFT.

E_form: -219 kJ per mole of atoms
total energy: -6.598 eV per atom

abc: 6.542 5.655 9.229
angles: 56.08 90.00 90.00
Atoms (fractional coordinates):
La1 0.147 0.718 0.255
La2 0.853 0.718 0.755
Zn1 0.863 0.248 0.229
Zn2 0.137 0.248 0.729
Cr1 0.284 0.974 0.511
Cr2 0.716 0.974 0.011
Bi1 0.327 0.476 0.993
Bi2 0.673 0.476 0.493
O1 0.765 0.122 0.772
O2 0.479 0.798 0.075
O3 0.386 0.348 0.445
O4 0.912 0.656 0.054
O5 0.904 0.243 0.442
O6 0.192 0.917 0.723
O7 0.235 0.122 0.272
O8 0.521 0.798 0.575
O9 0.614 0.348 0.945
O10 0.088 0.656 0.554
O11 0.096 0.243 0.942
O12 0.808 0.917 0.223

---

[5]
Computed, not measured: a relaxed Li4Cr5BiO12 crystal at the PBE with a Hubbard U level of DFT.

E_form: -208 kJ per mole of atoms
total energy: -6.740 eV per atom

abc: 5.265 5.277 10.146
angles: 93.63 97.29 60.07
Atoms (fractional coordinates):
Li1 0.217 0.337 0.725
Li2 0.446 0.337 0.275
Li3 0.554 0.663 0.725
Li4 0.783 0.663 0.275
Cr1 0.164 0.672 0.500
Cr2 0.666 0.667 0.000
Cr3 0.334 0.333 0.000
Cr4 0.836 0.328 0.500
Cr5 0.500 0.000 0.500
Bi1 0.000 0.000 0.000
O1 0.026 0.636 0.110
O2 0.337 0.636 0.890
O3 0.142 0.344 0.397
O4 0.486 0.656 0.397
O5 0.514 0.344 0.603
O6 0.202 0.000 0.603
O7 0.858 0.656 0.603
O8 0.663 0.364 0.110
O9 0.392 0.000 0.109
O10 0.974 0.364 0.890
O11 0.608 0.000 0.891
O12 0.798 0.000 0.397

---

[6]
Computed, not measured: a relaxed Li4CrBiTe2O12 crystal at the PBE with a Hubbard U level of DFT.

E_form: -178 kJ per mole of atoms
total energy: -5.673 eV per atom

abc: 5.223 5.488 7.589
angles: 94.07 90.10 90.13
Atoms (fractional coordinates):
Li1 0.509 0.044 0.750
Li2 0.498 0.057 0.192
Li3 0.994 0.595 0.186
Li4 0.000 0.587 0.736
Cr1 0.999 0.010 0.999
Bi1 0.502 0.504 0.494
Te1 0.001 0.004 0.500
Te2 0.499 0.500 0.998
O1 0.321 0.189 0.950
O2 0.675 0.149 0.435
O3 0.168 0.309 0.583
O4 0.788 0.307 0.072
O5 0.640 0.467 0.757
O6 0.352 0.485 0.238
O7 0.196 0.681 0.947
O8 0.855 0.677 0.435
O9 0.304 0.828 0.586
O10 0.695 0.790 0.067
O11 0.876 0.969 0.740
O12 0.129 0.991 0.262

---

[7]
Computed, not measured: a relaxed Cr4BiNO14 crystal at the PBE with a Hubbard U level of DFT.

E_form: -113 kJ per mole of atoms
total energy: -6.298 eV per atom

abc: 17.347 8.516 8.911
angles: 88.48 90.00 90.00
Atoms (fractional coordinates):
Cr1 0.316 0.583 0.790
Cr2 0.816 0.917 0.210
Cr3 0.684 0.417 0.210
Cr4 0.184 0.083 0.790
Cr5 0.448 0.869 0.736
Cr6 0.948 0.631 0.264
Cr7 0.552 0.131 0.264
Cr8 0.052 0.369 0.736
Cr9 0.796 0.666 0.766
Cr10 0.296 0.834 0.234
Cr11 0.204 0.334 0.234
Cr12 0.704 0.166 0.766
Cr13 0.942 0.911 0.796
Cr14 0.442 0.589 0.204
Cr15 0.058 0.089 0.204
Cr16 0.558 0.411 0.796
Bi1 0.625 0.791 0.006
Bi2 0.125 0.709 0.994
Bi3 0.375 0.209 0.994
Bi4 0.875 0.291 0.006
N1 0.125 0.748 0.501
N2 0.625 0.752 0.499
N3 0.875 0.252 0.499
N4 0.375 0.248 0.501
O1 0.746 0.368 0.077
O2 0.246 0.132 0.923
O3 0.254 0.632 0.923
O4 0.754 0.868 0.077
O5 0.497 0.726 0.126
O6 0.997 0.774 0.874
O7 0.503 0.274 0.874
O8 0.003 0.226 0.126
O9 0.899 0.798 0.190
O10 0.399 0.702 0.810
O11 0.101 0.202 0.810
O12 0.601 0.298 0.190
O13 0.601 0.970 0.218
O14 0.101 0.530 0.782
O15 0.399 0.030 0.782
O16 0.899 0.470 0.218
O17 0.536 0.867 0.807
O18 0.036 0.633 0.193
O19 0.464 0.133 0.193
O20 0.964 0.367 0.807
O21 0.355 0.669 0.276
O22 0.855 0.831 0.724
O23 0.645 0.331 0.724
O24 0.145 0.169 0.276
O25 0.582 0.542 0.925
O26 0.082 0.958 0.075
O27 0.418 0.458 0.075
O28 0.918 0.042 0.925
O29 0.705 0.724 0.807
O30 0.205 0.776 0.193
O31 0.295 0.276 0.193
O32 0.795 0.224 0.807
O33 0.792 0.561 0.621
O34 0.292 0.939 0.379
O35 0.208 0.439 0.379
O36 0.708 0.061 0.621
O37 0.665 0.064 0.906
O38 0.165 0.436 0.094
O39 0.335 0.936 0.094
O40 0.835 0.564 0.906
O41 0.660 0.608 0.196
O42 0.160 0.892 0.804
O43 0.340 0.392 0.804
O44 0.840 0.108 0.196
O45 0.778 0.882 0.370
O46 0.278 0.618 0.630
O47 0.222 0.118 0.630
O48 0.722 0.382 0.370
O49 0.548 0.139 0.443
O50 0.048 0.361 0.557
O51 0.452 0.861 0.557
O52 0.952 0.639 0.443
O53 0.486 0.502 0.340
O54 0.986 0.998 0.660
O55 0.514 0.498 0.660
O56 0.014 0.002 0.340

---

[8]
Computed, not measured: a relaxed CrBiO5 crystal at the PBE with a Hubbard U level of DFT.

distance to the lowest polymorph of the same formula: 34 kJ/mol of formula units
E_form: -134 kJ per mole of atoms
total energy: -6.081 eV per atom

abc: 6.208 11.705 15.900
angles: 90.00 90.00 90.00
Atoms (fractional coordinates):
Cr1 0.979 0.400 0.617
Cr2 0.521 0.900 0.383
Cr3 0.021 0.600 0.383
Cr4 0.479 0.100 0.617
Cr5 0.021 0.100 0.117
Cr6 0.979 0.900 0.883
Cr7 0.521 0.400 0.117
Cr8 0.479 0.600 0.883
Bi1 0.928 0.822 0.214
Bi2 0.072 0.178 0.786
Bi3 0.572 0.322 0.786
Bi4 0.072 0.678 0.714
Bi5 0.428 0.178 0.286
Bi6 0.428 0.678 0.214
Bi7 0.572 0.822 0.714
Bi8 0.928 0.322 0.286
O1 0.890 0.304 0.699
O2 0.236 0.046 0.079
O3 0.264 0.546 0.921
O4 0.227 0.793 0.153
O5 0.273 0.293 0.847
O6 0.890 0.804 0.801
O7 0.273 0.793 0.653
O8 0.610 0.804 0.301
O9 0.236 0.546 0.421
O10 0.110 0.696 0.301
O11 0.610 0.304 0.199
O12 0.610 0.168 0.547
O13 0.736 0.954 0.421
O14 0.773 0.707 0.653
O15 0.143 0.004 0.838
O16 0.736 0.454 0.079
O17 0.110 0.196 0.199
O18 0.727 0.207 0.347
O19 0.110 0.832 0.953
O20 0.264 0.046 0.579
O21 0.390 0.832 0.453
O22 0.857 0.996 0.162
O23 0.773 0.207 0.847
O24 0.643 0.996 0.662
O25 0.390 0.332 0.047
O26 0.110 0.332 0.547
O27 0.764 0.454 0.579
O28 0.764 0.954 0.921
O29 0.643 0.496 0.838
O30 0.890 0.668 0.453
O31 0.890 0.168 0.047
O32 0.610 0.668 0.953
O33 0.857 0.496 0.338
O34 0.727 0.707 0.153
O35 0.227 0.293 0.347
O36 0.143 0.504 0.662
O37 0.357 0.504 0.162
O38 0.390 0.196 0.699
O39 0.357 0.004 0.338
O40 0.390 0.696 0.801

---

[9]
Computed, not measured: a relaxed CrBiO5 crystal at the PBE with a Hubbard U level of DFT.

distance to the lowest polymorph of the same formula: 3 kJ/mol of formula units
E_form: -138 kJ per mole of atoms
total energy: -6.126 eV per atom

abc: 9.825 5.745 7.472
angles: 85.90 90.00 90.00
Atoms (fractional coordinates):
Cr1 0.586 0.725 0.166
Cr2 0.086 0.275 0.334
Cr3 0.414 0.275 0.834
Cr4 0.914 0.725 0.666
Bi1 0.177 0.834 0.009
Bi2 0.677 0.166 0.491
Bi3 0.823 0.166 0.991
Bi4 0.323 0.834 0.509
O1 0.157 0.524 0.252
O2 0.657 0.476 0.248
O3 0.843 0.476 0.748
O4 0.343 0.524 0.752
O5 0.092 0.266 0.549
O6 0.592 0.734 0.951
O7 0.908 0.734 0.451
O8 0.408 0.266 0.049
O9 0.181 0.036 0.276
O10 0.681 0.964 0.224
O11 0.819 0.964 0.724
O12 0.319 0.036 0.776
O13 0.921 0.256 0.271
O14 0.421 0.744 0.229
O15 0.079 0.744 0.729
O16 0.579 0.256 0.771
O17 0.051 0.160 0.956
O18 0.551 0.840 0.544
O19 0.949 0.840 0.044
O20 0.449 0.160 0.456

---

[10]
Computed, not measured: a relaxed Cr2Bi6O15 crystal at the PBE with a Hubbard U level of DFT.

E_form: -166 kJ per mole of atoms
total energy: -6.180 eV per atom

abc: 11.950 11.950 5.992
angles: 90.00 90.00 115.43
Atoms (fractional coordinates):
Cr1 0.535 0.209 0.854
Cr2 0.465 0.791 0.854
Cr3 0.791 0.465 0.354
Cr4 0.209 0.535 0.354
Bi1 0.385 0.248 0.325
Bi2 0.615 0.752 0.325
Bi3 0.752 0.615 0.825
Bi4 0.248 0.385 0.825
Bi5 0.298 0.894 0.330
Bi6 0.702 0.106 0.330
Bi7 0.106 0.702 0.830
Bi8 0.894 0.298 0.830
Bi9 0.171 0.046 0.724
Bi10 0.829 0.954 0.724
Bi11 0.954 0.829 0.224
Bi12 0.046 0.171 0.224
O1 0.676 0.222 0.923
O2 0.324 0.778 0.923
O3 0.778 0.324 0.423
O4 0.222 0.676 0.423
O5 0.531 0.345 0.860
O6 0.469 0.655 0.860
O7 0.655 0.469 0.360
O8 0.345 0.531 0.360
O9 0.433 0.120 0.051
O10 0.567 0.880 0.051
O11 0.880 0.567 0.551
O12 0.120 0.433 0.551
O13 0.493 0.147 0.601
O14 0.507 0.853 0.601
O15 0.853 0.507 0.101
O16 0.147 0.493 0.101
O17 0.250 0.254 0.090
O18 0.750 0.746 0.090
O19 0.746 0.750 0.590
O20 0.254 0.250 0.590
O21 0.857 0.169 0.110
O22 0.143 0.831 0.110
O23 0.831 0.143 0.610
O24 0.169 0.857 0.610
O25 0.746 0.942 0.380
O26 0.254 0.058 0.380
O27 0.058 0.254 0.880
O28 0.942 0.746 0.880
O29 0.000 0.000 0.040
O30 0.000 0.000 0.540